The following is a DFT calculation (PBE) of a relaxed structure of Na3CaTiP3O12.

Computed properties:
- Total moment: 0.0 μB/cell
- E_form: -2870 meV/atom

Cell and atoms, written as CIF:
```
data_Na3CaTiP3O12
_chemical_formula_sum 'Na12 Ca4 Ti4 P12 O48'
_symmetry_space_group_name_H-M 'P 1'
_symmetry_Int_Tables_number 1
_cell_length_a 15.848
_cell_length_b 9.188
_cell_length_c 8.991
_cell_angle_alpha 90.00
_cell_angle_beta 125.57
_cell_angle_gamma 90.00
loop_
_symmetry_equiv_pos_as_xyz
'x,y,z'
loop_
_atom_site_label
_atom_site_type_symbol
_atom_site_fract_x
_atom_site_fract_y
_atom_site_fract_z
_atom_site_occupancy
Na1 Na 0.256 0.729 0.996 1
Na2 Na 0.756 0.771 0.496 1
Na3 Na 0.756 0.229 0.996 1
Na4 Na 0.256 0.271 0.496 1
Na5 Na 0.504 0.102 0.745 1
Na6 Na 0.504 0.898 0.245 1
Na7 Na 0.004 0.602 0.745 1
Na8 Na 0.004 0.398 0.245 1
Na9 Na 0.186 0.938 0.300 1
Na10 Na 0.186 0.062 0.800 1
Na11 Na 0.686 0.438 0.300 1
Na12 Na 0.686 0.562 0.800 1
Ca1 Ca 0.104 0.748 0.564 1
Ca2 Ca 0.104 0.252 0.064 1
Ca3 Ca 0.604 0.248 0.564 1
Ca4 Ca 0.604 0.752 0.064 1
Ti1 Ti 0.897 0.760 0.945 1
Ti2 Ti 0.897 0.240 0.445 1
Ti3 Ti 0.397 0.260 0.945 1
Ti4 Ti 0.397 0.740 0.445 1
P1 P 0.990 0.955 0.758 1
P2 P 0.990 0.045 0.258 1
P3 P 0.490 0.455 0.758 1
P4 P 0.490 0.545 0.258 1
P5 P 0.355 0.918 0.755 1
P6 P 0.651 0.878 0.744 1
P7 P 0.651 0.122 0.244 1
P8 P 0.355 0.082 0.255 1
P9 P 0.855 0.418 0.755 1
P10 P 0.151 0.378 0.744 1
P11 P 0.151 0.622 0.244 1
P12 P 0.855 0.582 0.255 1
O1 O 0.158 0.543 0.745 1
O2 O 0.852 0.589 0.741 1
O3 O 0.852 0.411 0.241 1
O4 O 0.158 0.457 0.245 1
O5 O 0.658 0.043 0.745 1
O6 O 0.352 0.089 0.741 1
O7 O 0.352 0.911 0.241 1
O8 O 0.658 0.957 0.245 1
O9 O 0.432 0.570 0.591 1
O10 O 0.559 0.537 0.934 1
O11 O 0.559 0.463 0.434 1
O12 O 0.432 0.430 0.091 1
O13 O 0.932 0.070 0.591 1
O14 O 0.059 0.037 0.934 1
O15 O 0.059 0.963 0.434 1
O16 O 0.932 0.930 0.091 1
O17 O 0.262 0.866 0.750 1
O18 O 0.740 0.801 0.745 1
O19 O 0.740 0.199 0.245 1
O20 O 0.262 0.134 0.250 1
O21 O 0.762 0.366 0.750 1
O22 O 0.240 0.301 0.745 1
O23 O 0.240 0.699 0.245 1
O24 O 0.762 0.634 0.250 1
O25 O 0.357 0.862 0.586 1
O26 O 0.659 0.823 0.909 1
O27 O 0.659 0.177 0.409 1
O28 O 0.357 0.138 0.086 1
O29 O 0.857 0.362 0.586 1
O30 O 0.159 0.323 0.909 1
O31 O 0.159 0.677 0.409 1
O32 O 0.857 0.638 0.086 1
O33 O 0.456 0.874 0.933 1
O34 O 0.541 0.820 0.567 1
O35 O 0.541 0.180 0.067 1
O36 O 0.456 0.126 0.433 1
O37 O 0.956 0.374 0.933 1
O38 O 0.041 0.320 0.567 1
O39 O 0.041 0.680 0.067 1
O40 O 0.956 0.626 0.433 1
O41 O 0.057 0.848 0.737 1
O42 O 0.905 0.865 0.755 1
O43 O 0.905 0.135 0.255 1
O44 O 0.057 0.152 0.237 1
O45 O 0.557 0.348 0.737 1
O46 O 0.405 0.365 0.755 1
O47 O 0.405 0.635 0.255 1
O48 O 0.557 0.652 0.237 1
```

The following is a DFT calculation (PBE) of a relaxed structure of Zn2P3H10CN3O12.

Computed properties:
- Total moment: 0.0 μB/cell
- E_form: -1587 meV/atom

Cell and atoms, written as CIF:
```
data_Zn2P3H10CN3O12
_chemical_formula_sum 'Zn4 P6 H20 C2 N6 O24'
_symmetry_space_group_name_H-M 'P 1'
_symmetry_Int_Tables_number 1
_cell_length_a 5.242
_cell_length_b 7.935
_cell_length_c 16.680
_cell_angle_alpha 90.00
_cell_angle_beta 90.23
_cell_angle_gamma 90.00
loop_
_symmetry_equiv_pos_as_xyz
'x,y,z'
loop_
_atom_site_label
_atom_site_type_symbol
_atom_site_fract_x
_atom_site_fract_y
_atom_site_fract_z
_atom_site_occupancy
Zn1 Zn 0.196 0.000 0.421 1
Zn2 Zn 0.201 0.222 0.085 1
Zn3 Zn 0.799 0.722 0.915 1
Zn4 Zn 0.804 0.500 0.579 1
P1 P 0.295 0.599 0.001 1
P2 P 0.304 0.616 0.489 1
P3 P 0.454 0.119 0.254 1
P4 P 0.546 0.619 0.746 1
P5 P 0.696 0.116 0.511 1
P6 P 0.705 0.099 0.999 1
H1 H 0.097 0.147 0.637 1
H2 H 0.166 0.705 0.171 1
H3 H 0.167 0.033 0.873 1
H4 H 0.182 0.766 0.270 1
H5 H 0.273 0.678 0.649 1
H6 H 0.282 0.532 0.839 1
H7 H 0.319 0.342 0.459 1
H8 H 0.326 0.873 0.038 1
H9 H 0.356 0.029 0.670 1
H10 H 0.398 0.962 0.807 1
H11 H 0.602 0.462 0.193 1
H12 H 0.644 0.529 0.330 1
H13 H 0.674 0.373 0.962 1
H14 H 0.681 0.842 0.541 1
H15 H 0.718 0.032 0.161 1
H16 H 0.727 0.178 0.351 1
H17 H 0.818 0.266 0.730 1
H18 H 0.833 0.533 0.127 1
H19 H 0.834 0.205 0.829 1
H20 H 0.903 0.647 0.363 1
C1 C 0.116 0.110 0.758 1
C2 C 0.884 0.610 0.242 1
N1 N 0.108 0.685 0.228 1
N2 N 0.211 0.109 0.683 1
N3 N 0.246 0.038 0.818 1
N4 N 0.754 0.538 0.182 1
N5 N 0.789 0.609 0.317 1
N6 N 0.892 0.185 0.772 1
O1 O 0.147 0.628 0.921 1
O2 O 0.154 0.588 0.568 1
O3 O 0.186 0.457 0.052 1
O4 O 0.195 0.756 0.436 1
O5 O 0.265 0.759 0.057 1
O6 O 0.276 0.454 0.434 1
O7 O 0.277 0.017 0.307 1
O8 O 0.326 0.241 0.195 1
O9 O 0.361 0.735 0.695 1
O10 O 0.382 0.483 0.793 1
O11 O 0.411 0.147 0.489 1
O12 O 0.419 0.070 0.019 1
O13 O 0.581 0.570 0.981 1
O14 O 0.589 0.647 0.511 1
O15 O 0.618 0.983 0.207 1
O16 O 0.639 0.235 0.305 1
O17 O 0.674 0.741 0.805 1
O18 O 0.723 0.517 0.693 1
O19 O 0.724 0.954 0.566 1
O20 O 0.735 0.259 0.943 1
O21 O 0.805 0.256 0.564 1
O22 O 0.814 0.957 0.948 1
O23 O 0.846 0.088 0.432 1
O24 O 0.853 0.128 0.079 1
```

The following is a DFT calculation (PBE) of a relaxed structure of Mo3WSe2S6.

Computed properties:
- Total moment: 0.0 μB/cell
- E_form: -1048 meV/atom

Cell and atoms, written as CIF:
```
data_Mo3WSe2S6
_chemical_formula_sum 'Mo3 W1 Se2 S6'
_symmetry_space_group_name_H-M 'P 1'
_symmetry_Int_Tables_number 1
_cell_length_a 3.221
_cell_length_b 3.221
_cell_length_c 36.363
_cell_angle_alpha 90.00
_cell_angle_beta 90.00
_cell_angle_gamma 120.00
loop_
_symmetry_equiv_pos_as_xyz
'x,y,z'
loop_
_atom_site_label
_atom_site_type_symbol
_atom_site_fract_x
_atom_site_fract_y
_atom_site_fract_z
_atom_site_occupancy
Mo1 Mo 0.000 0.000 0.000 1
Mo2 Mo 0.000 0.000 0.376 1
Mo3 Mo 0.667 0.333 0.812 1
W1 W 0.667 0.333 0.188 1
Se1 Se 0.667 0.333 0.047 1
Se2 Se 0.667 0.333 0.953 1
S1 S 0.000 0.000 0.145 1
S2 S 0.000 0.000 0.231 1
S3 S 0.000 0.000 0.769 1
S4 S 0.000 0.000 0.855 1
S5 S 0.667 0.333 0.333 1
S6 S 0.667 0.333 0.419 1
```

The following is a DFT calculation (PBE) of a relaxed structure of CaSO4.

Computed properties:
- Total moment: 0.0 μB/cell
- E_form: -2613 meV/atom

Cell and atoms, written as CIF:
```
data_CaSO4
_chemical_formula_sum 'Ca4 S4 O16'
_symmetry_space_group_name_H-M 'P 1'
_symmetry_Int_Tables_number 1
_cell_length_a 7.904
_cell_length_b 5.396
_cell_length_c 6.885
_cell_angle_alpha 90.00
_cell_angle_beta 90.00
_cell_angle_gamma 90.00
loop_
_symmetry_equiv_pos_as_xyz
'x,y,z'
loop_
_atom_site_label
_atom_site_type_symbol
_atom_site_fract_x
_atom_site_fract_y
_atom_site_fract_z
_atom_site_occupancy
Ca1 Ca 0.191 0.250 0.176 1
Ca2 Ca 0.309 0.750 0.676 1
Ca3 Ca 0.691 0.250 0.324 1
Ca4 Ca 0.809 0.750 0.824 1
S1 S 0.053 0.250 0.675 1
S2 S 0.447 0.750 0.175 1
S3 S 0.553 0.250 0.825 1
S4 S 0.947 0.750 0.325 1
O1 O 0.065 0.023 0.801 1
O2 O 0.065 0.477 0.801 1
O3 O 0.111 0.750 0.425 1
O4 O 0.198 0.250 0.537 1
O5 O 0.302 0.750 0.037 1
O6 O 0.389 0.250 0.925 1
O7 O 0.435 0.523 0.301 1
O8 O 0.435 0.977 0.301 1
O9 O 0.565 0.023 0.699 1
O10 O 0.565 0.477 0.699 1
O11 O 0.611 0.750 0.075 1
O12 O 0.698 0.250 0.963 1
O13 O 0.802 0.750 0.463 1
O14 O 0.889 0.250 0.575 1
O15 O 0.935 0.523 0.199 1
O16 O 0.935 0.977 0.199 1
```

The following is a DFT calculation (PBE) of a relaxed structure of Sm11Sn10.

Computed properties:
- E_form: -761 meV/atom

Cell and atoms, written as CIF:
```
data_Sm11Sn10
_chemical_formula_sum 'Sm22 Sn20'
_symmetry_space_group_name_H-M 'P 1'
_symmetry_Int_Tables_number 1
_cell_length_a 12.135
_cell_length_b 12.135
_cell_length_c 12.135
_cell_angle_alpha 121.46
_cell_angle_beta 121.46
_cell_angle_gamma 87.48
loop_
_symmetry_equiv_pos_as_xyz
'x,y,z'
loop_
_atom_site_label
_atom_site_type_symbol
_atom_site_fract_x
_atom_site_fract_y
_atom_site_fract_z
_atom_site_occupancy
Sm1 Sm 0.059 0.310 0.749 1
Sm2 Sm 0.102 0.430 0.328 1
Sm3 Sm 0.102 0.775 0.672 1
Sm4 Sm 0.162 0.162 0.000 1
Sm5 Sm 0.225 0.898 0.328 1
Sm6 Sm 0.310 0.059 0.749 1
Sm7 Sm 0.310 0.562 0.251 1
Sm8 Sm 0.325 0.325 0.650 1
Sm9 Sm 0.325 0.675 0.000 1
Sm10 Sm 0.430 0.102 0.328 1
Sm11 Sm 0.438 0.690 0.749 1
Sm12 Sm 0.562 0.310 0.251 1
Sm13 Sm 0.570 0.898 0.672 1
Sm14 Sm 0.675 0.325 0.000 1
Sm15 Sm 0.675 0.675 0.350 1
Sm16 Sm 0.690 0.438 0.749 1
Sm17 Sm 0.690 0.941 0.251 1
Sm18 Sm 0.775 0.102 0.672 1
Sm19 Sm 0.838 0.838 0.000 1
Sm20 Sm 0.898 0.225 0.328 1
Sm21 Sm 0.898 0.570 0.672 1
Sm22 Sm 0.941 0.690 0.251 1
Sn1 Sn 0.030 0.030 0.415 1
Sn2 Sn 0.030 0.615 0.000 1
Sn3 Sn 0.127 0.127 0.255 1
Sn4 Sn 0.127 0.873 0.000 1
Sn5 Sn 0.141 0.500 0.641 1
Sn6 Sn 0.250 0.750 0.500 1
Sn7 Sn 0.385 0.385 0.415 1
Sn8 Sn 0.385 0.970 0.000 1
Sn9 Sn 0.389 0.389 0.000 1
Sn10 Sn 0.500 0.141 0.641 1
Sn11 Sn 0.500 0.859 0.359 1
Sn12 Sn 0.611 0.611 0.000 1
Sn13 Sn 0.615 0.030 0.000 1
Sn14 Sn 0.615 0.615 0.585 1
Sn15 Sn 0.750 0.250 0.500 1
Sn16 Sn 0.859 0.500 0.359 1
Sn17 Sn 0.873 0.127 0.000 1
Sn18 Sn 0.873 0.873 0.745 1
Sn19 Sn 0.970 0.385 0.000 1
Sn20 Sn 0.970 0.970 0.585 1
```

The following is a DFT calculation (PBE) of a relaxed structure of Al2O3.

Computed properties:
- Total moment: 0.0 μB/cell
- E_form: -3244 meV/atom

Cell and atoms, written as CIF:
```
data_Al2O3
_chemical_formula_sum 'Al40 O60'
_symmetry_space_group_name_H-M 'P 1'
_symmetry_Int_Tables_number 1
_cell_length_a 9.977
_cell_length_b 10.426
_cell_length_c 10.444
_cell_angle_alpha 91.71
_cell_angle_beta 90.55
_cell_angle_gamma 91.78
loop_
_symmetry_equiv_pos_as_xyz
'x,y,z'
loop_
_atom_site_label
_atom_site_type_symbol
_atom_site_fract_x
_atom_site_fract_y
_atom_site_fract_z
_atom_site_occupancy
Al1 Al 0.000 0.000 0.000 1
Al2 Al 0.001 0.772 0.855 1
Al3 Al 0.072 0.252 0.552 1
Al4 Al 0.117 0.682 0.433 1
Al5 Al 0.134 0.232 0.086 1
Al6 Al 0.146 0.948 0.584 1
Al7 Al 0.147 0.934 0.271 1
Al8 Al 0.204 0.549 0.181 1
Al9 Al 0.225 0.459 0.503 1
Al10 Al 0.229 0.466 0.776 1
Al11 Al 0.264 0.816 0.043 1
Al12 Al 0.327 0.772 0.787 1
Al13 Al 0.357 0.339 0.004 1
Al14 Al 0.388 0.235 0.438 1
Al15 Al 0.396 0.081 0.174 1
Al16 Al 0.421 0.939 0.418 1
Al17 Al 0.424 0.033 0.677 1
Al18 Al 0.433 0.670 0.531 1
Al19 Al 0.434 0.320 0.716 1
Al20 Al 0.456 0.616 0.978 1
Al21 Al 0.537 0.976 0.941 1
Al22 Al 0.572 0.738 0.255 1
Al23 Al 0.622 0.421 0.282 1
Al24 Al 0.633 0.657 0.704 1
Al25 Al 0.664 0.400 0.954 1
Al26 Al 0.685 0.431 0.551 1
Al27 Al 0.703 0.996 0.141 1
Al28 Al 0.707 0.942 0.626 1
Al29 Al 0.712 0.739 0.980 1
Al30 Al 0.725 0.224 0.760 1
Al31 Al 0.772 0.170 0.450 1
Al32 Al 0.800 0.240 0.100 1
Al33 Al 0.807 0.604 0.367 1
Al34 Al 0.820 0.869 0.368 1
Al35 Al 0.896 0.700 0.597 1
Al36 Al 0.932 0.467 0.757 1
Al37 Al 0.952 0.121 0.281 1
Al38 Al 0.966 0.112 0.776 1
Al39 Al 0.982 0.454 0.010 1
Al40 Al 0.988 0.734 0.148 1
O1 O 0.038 0.815 0.552 1
O2 O 0.041 0.576 0.118 1
O3 O 0.068 0.145 0.939 1
O4 O 0.079 0.102 0.638 1
O5 O 0.079 0.457 0.869 1
O6 O 0.083 0.882 0.093 1
O7 O 0.092 0.415 0.624 1
O8 O 0.116 0.119 0.214 1
O9 O 0.124 0.758 0.282 1
O10 O 0.175 0.781 0.890 1
O11 O 0.201 0.526 0.346 1
O12 O 0.218 0.396 0.094 1
O13 O 0.219 0.284 0.453 1
O14 O 0.239 0.956 0.435 1
O15 O 0.255 0.645 0.543 1
O16 O 0.283 0.924 0.693 1
O17 O 0.312 0.929 0.179 1
O18 O 0.314 0.325 0.841 1
O19 O 0.315 0.658 0.097 1
O20 O 0.322 0.188 0.072 1
O21 O 0.336 0.600 0.841 1
O22 O 0.346 0.437 0.633 1
O23 O 0.406 0.186 0.605 1
O24 O 0.409 0.851 0.934 1
O25 O 0.434 0.094 0.342 1
O26 O 0.455 0.771 0.386 1
O27 O 0.473 0.748 0.682 1
O28 O 0.488 0.350 0.363 1
O29 O 0.494 0.448 0.010 1
O30 O 0.519 0.072 0.811 1
O31 O 0.530 0.964 0.560 1
O32 O 0.548 0.063 0.094 1
O33 O 0.566 0.561 0.562 1
O34 O 0.575 0.705 0.089 1
O35 O 0.598 0.351 0.780 1
O36 O 0.616 0.633 0.872 1
O37 O 0.628 0.590 0.298 1
O38 O 0.667 0.890 0.266 1
O39 O 0.687 0.259 0.570 1
O40 O 0.690 0.907 0.983 1
O41 O 0.695 0.374 0.135 1
O42 O 0.726 0.232 0.942 1
O43 O 0.753 0.793 0.700 1
O44 O 0.761 0.432 0.397 1
O45 O 0.764 0.158 0.271 1
O46 O 0.769 0.743 0.473 1
O47 O 0.776 0.001 0.481 1
O48 O 0.784 0.066 0.729 1
O49 O 0.787 0.527 0.660 1
O50 O 0.830 0.473 0.922 1
O51 O 0.851 0.725 0.250 1
O52 O 0.868 0.062 0.098 1
O53 O 0.891 0.740 0.990 1
O54 O 0.903 0.281 0.741 1
O55 O 0.948 0.212 0.433 1
O56 O 0.963 0.597 0.461 1
O57 O 0.967 0.312 0.107 1
O58 O 0.968 0.957 0.321 1
O59 O 0.974 0.941 0.840 1
O60 O 0.982 0.648 0.740 1
```

| no. | DFT total energy (eV per atom) |
| --- | --- |
| 1 | -6.932 |
| 2 | -6.040 |
| 3 | -7.238 |
| 4 | -6.477 |
| 5 | -5.142 |
| 6 | -7.299 |